Run a
Below is BeF2 after structural relaxation, with properties calculated at the r²SCAN level. Values from VASP.

```
&SYSTEM
  ibrav = 0, nat = 36, ntyp = 2
/
ATOMIC_SPECIES
F 19.00 F.upf
Be 9.01 Be.upf
ATOMIC_POSITIONS angstrom
F 4.5976 7.1026 7.1026
F 7.1026 1.1837 3.6886
F 7.8317 2.9595 5.3268
F 7.1026 3.6886 1.1837
F 5.3268 7.8317 2.9595
F 4.5976 1.1837 1.1837
F 1.1837 4.5976 1.1837
F 1.1837 1.1837 4.5976
F 5.3268 0.4545 5.3268
F 1.1837 3.6886 7.1026
F 0.4545 5.3268 5.3268
F 3.6886 7.1026 1.1837
F 2.9595 7.8317 5.3268
F 7.1026 7.1026 4.5976
F 0.4545 2.9595 2.9595
F 1.1837 7.1026 3.6886
F 2.9595 0.4545 2.9595
F 2.9595 2.9595 0.4545
F 7.8317 5.3268 2.9595
F 3.6886 1.1837 7.1026
F 5.3268 5.3268 0.4545
F 7.1026 4.5976 7.1026
F 5.3268 2.9595 7.8317
F 2.9595 5.3268 7.8317
Be 0.0000 4.1431 2.0716
Be 4.1431 0.0000 2.0716
Be 6.2147 0.0000 4.1431
Be 0.0000 2.0716 4.1431
Be 2.0716 4.1431 0.0000
Be 0.0000 6.2147 4.1431
Be 4.1431 6.2147 0.0000
Be 0.0000 4.1431 6.2147
Be 2.0716 0.0000 4.1431
Be 6.2147 4.1431 0.0000
Be 4.1431 0.0000 6.2147
Be 4.1431 2.0716 0.0000
CELL_PARAMETERS angstrom
8.2862 0.0000 0.0000
0.0000 8.2862 0.0000
0.0000 0.0000 8.2862
```

Run b
Below is BeF2 after structural relaxation, with properties calculated at the r²SCAN level. Values from VASP.

```
&SYSTEM
  ibrav = 0, nat = 9, ntyp = 2
/
ATOMIC_SPECIES
Be 9.01 Be.upf
F 19.00 F.upf
ATOMIC_POSITIONS angstrom
Be 1.0885 -1.8834 1.7278
Be 2.4917 0.0000 0.0000
Be 1.0885 1.8823 3.4550
F 1.9986 -2.3782 2.8801
F 1.6079 0.5404 4.0307
F 1.9986 2.3772 2.3027
F 3.3928 -1.1237 4.6079
F 1.6079 -0.5414 1.1521
F 3.3928 1.1226 0.5749
CELL_PARAMETERS angstrom
2.3334 -4.0421 0.0008
2.3334 4.0421 -0.0008
0.0000 -0.0010 5.1828
```

Calculated values
Its crystal system is trigonal.

Stability, highest: run b

Run a
Below is BeF2 after structural relaxation, with properties calculated at the r²SCAN level. Values from VASP.

```
&SYSTEM
  ibrav = 0, nat = 9, ntyp = 2
/
ATOMIC_SPECIES
F 19.00 F.upf
Be 9.01 Be.upf
ATOMIC_POSITIONS angstrom
F -0.9955 -3.8627 1.7641
F 0.7334 -3.4881 -0.0087
F 2.4085 -3.5814 3.6101
F -2.4827 -3.3715 3.7589
F 0.8553 -2.1898 2.1667
F -0.9395 -1.6639 0.5011
Be -0.0866 -2.8011 1.1058
Be 2.1099 -2.1662 3.0676
Be -2.1635 -1.0851 -0.2427
CELL_PARAMETERS angstrom
-4.3270 -2.1703 -0.4854
4.0878 -2.5315 -0.7414
0.0989 -1.3507 5.1575
```

Calculated values
Its crystal system is hexagonal.

Run b
Below is BeF2 after structural relaxation, with properties calculated at the r²SCAN level. Values from VASP.

```
&SYSTEM
  ibrav = 0, nat = 36, ntyp = 2
/
ATOMIC_SPECIES
F 19.00 F.upf
Be 9.01 Be.upf
ATOMIC_POSITIONS angstrom
F -1.3596 -8.3850 -0.7951
F 2.1734 -3.9184 -7.9521
F 4.0966 -5.9596 -3.8525
F -4.3477 -3.5601 -6.4197
F -0.5908 -0.7158 -6.7604
F -1.0196 0.0441 -2.6409
F 3.5256 -4.8716 -6.0520
F 2.0619 -1.6969 -0.9408
F 3.7590 -5.5256 -1.3789
F 2.8932 -7.6510 -2.4248
F -1.5579 -2.3216 0.4463
F 4.2333 -3.4413 -4.0989
F -3.7801 -1.2662 -5.5382
F 1.0248 -8.9667 -1.3640
F -3.5163 -9.5142 -7.9037
F -2.4792 -2.2444 -7.4805
F -1.9076 -6.5036 0.7926
F -4.6227 -4.9697 -0.7052
F 0.1034 -8.8895 -9.2908
F -0.0948 -2.8261 -8.0494
F -3.6278 -7.2927 -0.8925
F -4.9800 -6.3395 -2.7925
F -0.4348 -11.2552 -6.2036
F -5.5511 -5.2515 -4.9920
Be -4.8342 -6.4035 -1.2592
Be -5.4843 -4.6011 -6.3895
Be -2.4800 -7.7336 0.0396
Be 4.0299 -6.6101 -2.4550
Be 1.0256 -3.4775 -8.8841
Be 3.3798 -4.8076 -7.5853
Be 4.4411 -4.8028 -4.8136
Be -3.8662 -2.1490 -6.8114
Be 2.4118 -9.0622 -2.0331
Be -0.3536 -9.5394 -0.9734
Be -1.1008 -1.6717 -7.8711
Be -5.8955 -6.4084 -4.0309
CELL_PARAMETERS angstrom
-3.3058 0.8181 -8.2583
6.9483 -4.9752 -2.6010
-5.0969 -7.0540 2.0148
```

Calculated values
Its crystal system is trigonal.

Stability, highest: run a